Entry 1:
The following is a DFT calculation (PBE-GGA) of an optimized crystal structure of Th2N3.

## Properties
* uncorrected energy: -46.63 eV/cell
* M_tot: 0.000 μB/atom

Geometry as CIF:
```
data_Th2N3
_cell_length_a 3.913
_cell_length_b 3.913
_cell_length_c 6.153
_cell_angle_alpha 90.00
_cell_angle_beta 90.00
_cell_angle_gamma 120.00
_space_group_name_H-M_alt 'P 1'
_space_group_IT_number 1
_space_group_name_Hall 'P 1'
loop_
_atom_site_label
_atom_site_fract_x
_atom_site_fract_y
_atom_site_fract_z
_atom_site_occupancy
Th1 0.333 0.667 0.751 1
Th2 0.667 0.333 0.249 1
N1 0.333 0.667 0.358 1
N2 0.000 0.000 0.000 1
N3 0.667 0.333 0.642 1
```



Entry 2:
The following is a DFT calculation (PBE-GGA) of an optimized crystal structure of ThN2.

## Properties
* uncorrected energy: -25.71 eV/cell
* M_tot: 0.570 μB/atom

Geometry as CIF:
```
data_ThN2
_cell_length_a 4.021
_cell_length_b 4.021
_cell_length_c 4.021
_cell_angle_alpha 60.00
_cell_angle_beta 60.00
_cell_angle_gamma 60.00
_space_group_name_H-M_alt 'P 1'
_space_group_IT_number 1
_space_group_name_Hall 'P 1'
loop_
_atom_site_label
_atom_site_fract_x
_atom_site_fract_y
_atom_site_fract_z
_atom_site_occupancy
N1 0.250 0.250 0.250 1
N2 0.750 0.750 0.750 1
Th1 0.500 0.500 0.500 1
```



Entry 3:
The following is a DFT calculation (PBE-GGA) of an optimized crystal structure of ThUN2.

## Properties
* uncorrected energy: -40.85 eV/cell
* M_tot: 0.242 μB/atom

Geometry as CIF:
```
data_ThUN2
_cell_length_a 3.558
_cell_length_b 3.558
_cell_length_c 5.031
_cell_angle_alpha 90.00
_cell_angle_beta 90.00
_cell_angle_gamma 90.00
_space_group_name_H-M_alt 'P 1'
_space_group_IT_number 1
_space_group_name_Hall 'P 1'
loop_
_atom_site_label
_atom_site_fract_x
_atom_site_fract_y
_atom_site_fract_z
_atom_site_occupancy
U1 0.000 0.000 0.000 1
N1 0.500 0.500 0.000 1
N2 0.000 0.000 0.500 1
Th1 0.500 0.500 0.500 1
```



Entry 4:
The following is a DFT calculation (PBE-GGA) of an optimized crystal structure of YThN2.

## Properties
* uncorrected energy: -37.01 eV/cell

Geometry as CIF:
```
data_YThN2
_cell_length_a 3.588
_cell_length_b 3.588
_cell_length_c 5.042
_cell_angle_alpha 90.00
_cell_angle_beta 90.00
_cell_angle_gamma 90.00
_space_group_name_H-M_alt 'P 1'
_space_group_IT_number 1
_space_group_name_Hall 'P 1'
loop_
_atom_site_label
_atom_site_fract_x
_atom_site_fract_y
_atom_site_fract_z
_atom_site_occupancy
Y1 0.000 0.000 0.000 1
N1 0.500 0.500 0.000 1
N2 0.000 0.000 0.500 1
Th1 0.500 0.500 0.500 1
```



Entry 5:
The following is a DFT calculation (PBE-GGA) of an optimized crystal structure of Ti3N4.

## Properties
* uncorrected energy: -65.92 eV/cell
* M_tot: 0.000 μB/atom

Geometry as CIF:
```
data_Ti3N4
_cell_length_a 5.132
_cell_length_b 5.132
_cell_length_c 5.132
_cell_angle_alpha 132.17
_cell_angle_beta 132.17
_cell_angle_gamma 69.96
_space_group_name_H-M_alt 'P 1'
_space_group_IT_number 1
_space_group_name_Hall 'P 1'
loop_
_atom_site_label
_atom_site_fract_x
_atom_site_fract_y
_atom_site_fract_z
_atom_site_occupancy
Ti1 0.750 0.250 0.500 1
Ti2 0.250 0.750 0.500 1
Ti3 0.500 0.500 0.000 1
N1 0.500 0.000 0.500 1
N2 0.739 0.739 0.000 1
N3 0.000 0.500 0.500 1
N4 0.261 0.261 0.000 1
```



Entry 6:
The following is a DFT calculation (PBE-GGA) of an optimized crystal structure of Ti2N.

## Properties
* uncorrected energy: -56.16 eV/cell

Geometry as CIF:
```
data_Ti2N
_cell_length_a 4.960
_cell_length_b 4.960
_cell_length_c 3.035
_cell_angle_alpha 90.00
_cell_angle_beta 90.00
_cell_angle_gamma 90.00
_space_group_name_H-M_alt 'P 1'
_space_group_IT_number 1
_space_group_name_Hall 'P 1'
loop_
_atom_site_label
_atom_site_fract_x
_atom_site_fract_y
_atom_site_fract_z
_atom_site_occupancy
N1 0.000 0.000 0.000 1
N2 0.500 0.500 0.500 1
Ti1 0.297 0.297 0.000 1
Ti2 0.703 0.703 0.000 1
Ti3 0.203 0.797 0.500 1
Ti4 0.797 0.203 0.500 1
```



Entry 7:
The following is a DFT calculation (PBE-GGA) of an optimized crystal structure of Ti3N.

## Properties
* uncorrected energy: -30.60 eV/cell
* M_tot: 0.017 μB/atom

Geometry as CIF:
```
data_Ti3N
_cell_length_a 3.697
_cell_length_b 3.697
_cell_length_c 3.697
_cell_angle_alpha 90.00
_cell_angle_beta 90.00
_cell_angle_gamma 90.00
_space_group_name_H-M_alt 'P 1'
_space_group_IT_number 1
_space_group_name_Hall 'P 1'
loop_
_atom_site_label
_atom_site_fract_x
_atom_site_fract_y
_atom_site_fract_z
_atom_site_occupancy
Ti1 0.500 0.000 0.500 1
Ti2 0.500 0.500 0.000 1
Ti3 0.000 0.500 0.500 1
N1 0.000 0.000 0.000 1
```



Entry 8:
The following is a DFT calculation (PBE-GGA) of an optimized crystal structure of Ti3N4.

## Properties
* uncorrected energy: -264.45 eV/cell
* M_tot: 0.000 μB/atom

Geometry as CIF:
```
data_Ti3N4
_cell_length_a 8.535
_cell_length_b 8.535
_cell_length_c 6.333
_cell_angle_alpha 90.00
_cell_angle_beta 90.00
_cell_angle_gamma 120.00
_space_group_name_H-M_alt 'P 1'
_space_group_IT_number 1
_space_group_name_Hall 'P 1'
loop_
_atom_site_label
_atom_site_fract_x
_atom_site_fract_y
_atom_site_fract_z
_atom_site_occupancy
N1 0.384 0.045 0.462 1
N2 0.661 0.616 0.462 1
N3 0.987 0.671 0.226 1
N4 0.329 0.316 0.226 1
N5 0.013 0.684 0.726 1
N6 0.671 0.987 0.726 1
N7 0.339 0.955 0.962 1
N8 0.616 0.661 0.962 1
N9 0.045 0.384 0.962 1
N10 0.000 0.000 0.468 1
N11 0.955 0.339 0.462 1
N12 0.333 0.667 0.626 1
N13 0.684 0.013 0.226 1
N14 0.316 0.329 0.726 1
N15 0.000 0.000 0.968 1
N16 0.667 0.333 0.126 1
Ti1 0.580 0.495 0.191 1
Ti2 0.827 0.081 0.478 1
Ti3 0.915 0.420 0.191 1
Ti4 0.254 0.173 0.478 1
Ti5 0.505 0.085 0.191 1
Ti6 0.746 0.919 0.978 1
Ti7 0.081 0.827 0.978 1
Ti8 0.173 0.254 0.978 1
Ti9 0.495 0.580 0.691 1
Ti10 0.420 0.915 0.691 1
Ti11 0.085 0.505 0.691 1
Ti12 0.919 0.746 0.478 1
```



Entry 9:
The following is a DFT calculation (PBE-GGA) of an optimized crystal structure of TiN2.

## Properties
* uncorrected energy: -53.63 eV/cell
* M_tot: 0.000 μB/atom

Geometry as CIF:
```
data_TiN2
_cell_length_a 4.067
_cell_length_b 4.067
_cell_length_c 4.067
_cell_angle_alpha 115.37
_cell_angle_beta 115.37
_cell_angle_gamma 98.23
_space_group_name_H-M_alt 'P 1'
_space_group_IT_number 1
_space_group_name_Hall 'P 1'
loop_
_atom_site_label
_atom_site_fract_x
_atom_site_fract_y
_atom_site_fract_z
_atom_site_occupancy
Ti1 0.750 0.750 0.000 1
Ti2 0.250 0.250 0.000 1
N1 0.613 0.113 0.725 1
N2 0.387 0.887 0.275 1
N3 0.113 0.387 0.500 1
N4 0.887 0.613 0.500 1
```



Entry 10:
The following is a DFT calculation (PBE-GGA) of an optimized crystal structure of Ti2N.

## Properties
* uncorrected energy: -56.07 eV/cell

Geometry as CIF:
```
data_Ti2N
_cell_length_a 5.323
_cell_length_b 5.323
_cell_length_c 5.323
_cell_angle_alpha 134.09
_cell_angle_beta 134.09
_cell_angle_gamma 66.94
_space_group_name_H-M_alt 'P 1'
_space_group_IT_number 1
_space_group_name_Hall 'P 1'
loop_
_atom_site_label
_atom_site_fract_x
_atom_site_fract_y
_atom_site_fract_z
_atom_site_occupancy
Ti1 0.019 0.519 0.500 1
Ti2 0.731 0.731 0.000 1
Ti3 0.481 0.981 0.500 1
Ti4 0.269 0.269 0.000 1
N1 0.500 0.500 0.000 1
N2 0.250 0.750 0.500 1
```